Record 1
Computed, not measured: a geometry-optimized Dy4InRh structure at the PBE-GGA level of DFT.

* calculated volume: 26.536 A^3/atom
* DFT formation energy: -0.551 eV/atom
* E_tot: -5.308 eV per atom

The structure in CIF format:
```
data_Dy4InRh
_chemical_formula_sum 'Dy64 In16 Rh16'
_cell_length_a 13.6575
_cell_length_b 13.6575
_cell_length_c 13.6575
_cell_angle_alpha 90.00
_cell_angle_beta 90.00
_cell_angle_gamma 90.00
_symmetry_space_group_name_H-M 'F -4 3 m'
_symmetry_Int_Tables_number 216
_symmetry_space_group_name_Hall 'F -4 2 3'
loop_
_atom_site_label
_atom_site_fract_x
_atom_site_fract_y
_atom_site_fract_z
Dy1 0.0000 0.0000 0.1879
Dy2 0.0609 0.2500 0.2500
Dy3 0.0998 0.0998 0.5998
In1 0.1673 0.1673 0.8327
Rh1 0.1075 0.1075 0.3925
```


Record 2
Computed, not measured: a geometry-optimized DyIn5Rh structure at the PBE-GGA level of DFT.

* calculated volume: 23.458 A^3/atom
* DFT formation energy: -0.403 eV/atom
* E_tot: -4.078 eV per atom

The structure in CIF format:
```
data_DyIn5Rh
_chemical_formula_sum 'Dy1 In5 Rh1'
_cell_length_a 4.6593
_cell_length_b 4.6593
_cell_length_c 7.5642
_cell_angle_alpha 90.00
_cell_angle_beta 90.00
_cell_angle_gamma 90.00
_symmetry_space_group_name_H-M 'P 4/m m m'
_symmetry_Int_Tables_number 123
_symmetry_space_group_name_Hall '-P 4 2'
loop_
_atom_site_label
_atom_site_fract_x
_atom_site_fract_y
_atom_site_fract_z
Dy1 0.0000 0.0000 0.0000
In1 0.0000 0.5000 0.3013
In2 0.5000 0.5000 0.0000
Rh1 0.0000 0.0000 0.5000
```


Record 3
Computed, not measured: a geometry-optimized DyInRh2 structure at the PBE-GGA level of DFT.

* calculated volume: 18.406 A^3/atom
* DFT formation energy: -0.752 eV/atom
* E_tot: -6.274 eV per atom

The structure in CIF format:
```
data_DyInRh2
_chemical_formula_sum 'Dy4 In4 Rh8'
_cell_length_a 6.6531
_cell_length_b 6.6531
_cell_length_c 6.6531
_cell_angle_alpha 90.00
_cell_angle_beta 90.00
_cell_angle_gamma 90.00
_symmetry_space_group_name_H-M 'F m -3 m'
_symmetry_Int_Tables_number 225
_symmetry_space_group_name_Hall '-F 4 2 3'
loop_
_atom_site_label
_atom_site_fract_x
_atom_site_fract_y
_atom_site_fract_z
Dy1 0.0000 0.0000 0.0000
In1 0.0000 0.0000 0.5000
Rh1 0.2500 0.2500 0.2500
```


Record 4
Computed, not measured: a geometry-optimized Dy4In5S13 structure at the PBE-GGA level of DFT.

* calculated volume: 22.490 A^3/atom
* DFT formation energy: -1.480 eV/atom
* E_tot: -5.091 eV per atom

The structure in CIF format:
```
data_Dy4In5S13
_chemical_formula_sum 'Dy8 In10 S26'
_cell_length_a 11.8775
_cell_length_b 21.5199
_cell_length_c 3.8715
_cell_angle_alpha 90.00
_cell_angle_beta 90.00
_cell_angle_gamma 90.00
_symmetry_space_group_name_H-M 'P b a m'
_symmetry_Int_Tables_number 55
_symmetry_space_group_name_Hall '-P 2 2ab'
loop_
_atom_site_label
_atom_site_fract_x
_atom_site_fract_y
_atom_site_fract_z
Dy1 0.0151 0.1718 0.0000
Dy2 0.1720 0.3404 0.0000
In1 0.0000 0.5000 0.0000
In2 0.1553 0.9934 0.5000
In3 0.1559 0.6708 0.5000
S1 0.0000 0.0000 0.0000
S2 0.0052 0.4054 0.5000
S3 0.0801 0.2611 0.5000
S4 0.1514 0.8657 0.5000
S5 0.1557 0.1154 0.5000
S6 0.1674 0.7428 0.0000
S7 0.2033 0.4729 0.0000
```


Record 5
Computed, not measured: a geometry-optimized Dy3InS6 structure at the PBE-GGA level of DFT.

* calculated volume: 21.544 A^3/atom
* DFT formation energy: -1.979 eV/atom
* E_tot: -5.816 eV per atom

The structure in CIF format:
```
data_Dy3InS6
_chemical_formula_sum 'Dy12 In4 S24'
_cell_length_a 13.4282
_cell_length_b 16.6434
_cell_length_c 3.8559
_cell_angle_alpha 90.00
_cell_angle_beta 90.00
_cell_angle_gamma 90.00
_symmetry_space_group_name_H-M 'P 21 21 2'
_symmetry_Int_Tables_number 18
_symmetry_space_group_name_Hall 'P 2 2ab'
loop_
_atom_site_label
_atom_site_fract_x
_atom_site_fract_y
_atom_site_fract_z
Dy1 0.0366 0.2233 0.2459
Dy2 0.1910 0.6435 0.2473
Dy3 0.2464 0.3898 0.2367
In1 0.0000 0.0000 0.8920
In2 0.0000 0.5000 0.7454
S1 0.0208 0.3941 0.2459
S2 0.1034 0.9066 0.2687
S3 0.1081 0.1156 0.7476
S4 0.1147 0.7437 0.7486
S5 0.1789 0.2831 0.7411
S6 0.1933 0.5194 0.7460
```


Record 6
Computed, not measured: a geometry-optimized DyTl2InS4 structure at the PBE-GGA level of DFT.

* calculated volume: 27.082 A^3/atom
* DFT formation energy: -1.132 eV/atom
* E_tot: -4.459 eV per atom

The structure in CIF format:
```
data_DyTl2InS4
_chemical_formula_sum 'Dy2 Tl4 In2 S8'
_cell_length_a 7.9394
_cell_length_b 7.9394
_cell_length_c 6.8740
_cell_angle_alpha 90.00
_cell_angle_beta 90.00
_cell_angle_gamma 90.00
_symmetry_space_group_name_H-M 'I -4 2 m'
_symmetry_Int_Tables_number 121
_symmetry_space_group_name_Hall 'I -4 2'
loop_
_atom_site_label
_atom_site_fract_x
_atom_site_fract_y
_atom_site_fract_z
Dy1 0.0000 0.0000 0.0000
Tl1 0.0000 0.5000 0.0000
In1 0.0000 0.0000 0.5000
S1 0.1716 0.1716 0.7359
```


- What is the E_tot in the fourth record?
  -5.091 eV per atom